! MnO, optimized geometry, DFT PBE with a Hubbard U; values from VASP
! formation energy = -156.0 kJ/mol of atoms
! electronic total energy = -7.49 eV/atom
! total magnetic moment = 5.00 μB/f.u.
! calculated volume = 50.1 Å³/f.u.
&SYSTEM
  ibrav = 0, nat = 2, ntyp = 2
/
ATOMIC_SPECIES
Mn 54.94 Mn.upf
O 16.00 O.upf
ATOMIC_POSITIONS crystal
Mn 0.000 0.000 0.000
O 0.667 0.333 0.999
CELL_PARAMETERS angstrom
3.472 0.000 0.000
-1.736 3.006 0.000
0.000 0.000 4.808

---

! MnO, optimized geometry, DFT PBE with a Hubbard U; values from VASP
! formation energy = -190.5 kJ/mol of atoms
! electronic total energy = -7.85 eV/atom
! calculated volume = 27.9 Å³/f.u.
&SYSTEM
  ibrav = 0, nat = 8, ntyp = 2
/
ATOMIC_SPECIES
Mn 54.94 Mn.upf
O 16.00 O.upf
ATOMIC_POSITIONS crystal
Mn 0.500 0.830 0.498
Mn 0.500 0.170 0.998
Mn 0.000 0.330 0.498
Mn 0.000 0.670 0.998
O 0.000 0.334 0.115
O 0.500 0.834 0.115
O 0.500 0.166 0.615
O 0.000 0.666 0.615
CELL_PARAMETERS angstrom
0.362 3.426 0.392
1.491 0.491 -5.690
-5.247 0.705 -1.314

---

! MnO, optimized geometry, DFT PBE with a Hubbard U; values from VASP
! formation energy = -191.0 kJ/mol of atoms
! electronic total energy = -7.86 eV/atom
! calculated volume = 22.7 Å³/f.u.
&SYSTEM
  ibrav = 0, nat = 4, ntyp = 2
/
ATOMIC_SPECIES
Mn 54.94 Mn.upf
O 16.00 O.upf
ATOMIC_POSITIONS crystal
Mn 0.000 0.500 0.500
Mn 0.000 0.000 0.000
O 0.500 0.750 0.750
O 0.500 0.250 0.250
CELL_PARAMETERS angstrom
-0.619 -3.108 -0.422
0.683 1.850 -2.517
4.797 -2.524 -0.554

---

! Mn2O5, optimized geometry, DFT PBE with a Hubbard U; values from VASP
! formation energy = -111.1 kJ/mol of atoms
! electronic total energy = -6.34 eV/atom
! total magnetic moment = 4.00 μB/f.u.
! calculated volume = 95.0 Å³/f.u.
&SYSTEM
  ibrav = 0, nat = 14, ntyp = 2
/
ATOMIC_SPECIES
Mn 54.94 Mn.upf
O 16.00 O.upf
ATOMIC_POSITIONS crystal
Mn 0.220 0.140 0.000
Mn 0.280 0.640 0.000
Mn 0.720 0.360 0.000
Mn 0.780 0.860 0.000
O 0.000 0.000 0.000
O 0.047 0.293 0.000
O 0.209 0.601 0.500
O 0.291 0.101 0.500
O 0.453 0.793 0.000
O 0.500 0.500 0.000
O 0.547 0.207 0.000
O 0.709 0.899 0.500
O 0.791 0.399 0.500
O 0.953 0.707 0.000
CELL_PARAMETERS angstrom
5.494 0.000 0.000
0.000 9.780 0.000
0.000 0.000 3.535